No. 1
Compound: CdI2
Source: the Materials Project
Functional: PBE
Structure: relaxed

a b c (Å): 4.3322 4.3322 44.3888
angles (deg): 90.00 90.00 120.00
Space group P-3m1 (No. 164)
One atom of each set of equivalent atoms:
Cd 0.0000 0.0000 0.0000 (multiplicity 1)
Cd 0.0000 0.0000 0.1666 (multiplicity 2)
Cd 0.0000 0.0000 0.5000 (multiplicity 1)
Cd 0.3333 0.6667 0.3333 (multiplicity 2)
I 0.0000 0.0000 0.3723 (multiplicity 2)
I 0.3333 0.6667 0.0388 (multiplicity 2)
I 0.3333 0.6667 0.2056 (multiplicity 2)
I 0.3333 0.6667 0.5388 (multiplicity 2)
I 0.3333 0.6667 0.7056 (multiplicity 2)
I 0.3333 0.6667 0.8722 (multiplicity 2)

Output
* E_tot: -1.91 eV/atom

=====

No. 2
Compound: CdI2
Source: the Materials Project
Functional: PBE
Structure: relaxed

a b c (Å): 4.3334 4.3334 59.2490
angles (deg): 90.00 90.00 120.00
Space group P3m1 (No. 156)
One atom of each set of equivalent atoms:
Cd 0.0000 0.0000 0.0000 (multiplicity 1)
Cd 0.0000 0.0000 0.1250 (multiplicity 1)
Cd 0.0000 0.0000 0.2500 (multiplicity 1)
Cd 0.0000 0.0000 0.3750 (multiplicity 1)
Cd 0.0000 0.0000 0.5000 (multiplicity 1)
Cd 0.0000 0.0000 0.6250 (multiplicity 1)
Cd 0.3333 0.6667 0.7500 (multiplicity 1)
Cd 0.3333 0.6667 0.8750 (multiplicity 1)
I 0.0000 0.0000 0.7209 (multiplicity 1)
I 0.0000 0.0000 0.8459 (multiplicity 1)
I 0.3333 0.6667 0.0959 (multiplicity 1)
I 0.3333 0.6667 0.2209 (multiplicity 1)
I 0.3333 0.6667 0.3459 (multiplicity 1)
I 0.3333 0.6667 0.4709 (multiplicity 1)
I 0.3333 0.6667 0.5959 (multiplicity 1)
I 0.3333 0.6667 0.9709 (multiplicity 1)
I 0.6667 0.3333 0.0291 (multiplicity 1)
I 0.6667 0.3333 0.1542 (multiplicity 1)
I 0.6667 0.3333 0.2791 (multiplicity 1)
I 0.6667 0.3333 0.4042 (multiplicity 1)
I 0.6667 0.3333 0.5291 (multiplicity 1)
I 0.6667 0.3333 0.6542 (multiplicity 1)
I 0.6667 0.3333 0.7791 (multiplicity 1)
I 0.6667 0.3333 0.9042 (multiplicity 1)

Output
* E_tot: -1.91 eV/atom

=====

No. 3
Compound: CdI2
Source: the Materials Project
Functional: PBE
Structure: relaxed

a b c (Å): 4.3327 4.3327 51.8666
angles (deg): 90.00 90.00 120.00
Space group P3m1 (No. 156)
One atom of each set of equivalent atoms:
Cd 0.0000 0.0000 0.0000 (multiplicity 1)
Cd 0.0000 0.0000 0.1428 (multiplicity 1)
Cd 0.0000 0.0000 0.2857 (multiplicity 1)
Cd 0.0000 0.0000 0.4285 (multiplicity 1)
Cd 0.0000 0.0000 0.5714 (multiplicity 1)
Cd 0.0000 0.0000 0.7142 (multiplicity 1)
Cd 0.3333 0.6667 0.8571 (multiplicity 1)
I 0.0000 0.0000 0.8904 (multiplicity 1)
I 0.3333 0.6667 0.0333 (multiplicity 1)
I 0.3333 0.6667 0.1761 (multiplicity 1)
I 0.3333 0.6667 0.3190 (multiplicity 1)
I 0.3333 0.6667 0.4618 (multiplicity 1)
I 0.3333 0.6667 0.6046 (multiplicity 1)
I 0.3333 0.6667 0.7475 (multiplicity 1)
I 0.6667 0.3333 0.1095 (multiplicity 1)
I 0.6667 0.3333 0.2524 (multiplicity 1)
I 0.6667 0.3333 0.3952 (multiplicity 1)
I 0.6667 0.3333 0.5381 (multiplicity 1)
I 0.6667 0.3333 0.6809 (multiplicity 1)
I 0.6667 0.3333 0.8238 (multiplicity 1)
I 0.6667 0.3333 0.9667 (multiplicity 1)

Output
* E_tot: -1.91 eV/atom

=====

No. 4
Compound: CdI2
Source: the Materials Project
Functional: PBE
Structure: relaxed

a b c (Å): 4.3370 4.3370 116.3416
angles (deg): 90.00 90.00 120.00
Space group P3m1 (No. 156)
One atom of each set of equivalent atoms:
Cd 0.0000 0.0000 0.0000 (multiplicity 1)
Cd 0.0000 0.0000 0.0666 (multiplicity 1)
Cd 0.0000 0.0000 0.1333 (multiplicity 1)
Cd 0.0000 0.0000 0.2664 (multiplicity 1)
Cd 0.0000 0.0000 0.3998 (multiplicity 1)
Cd 0.0000 0.0000 0.5333 (multiplicity 1)
Cd 0.0000 0.0000 0.6663 (multiplicity 1)
Cd 0.0000 0.0000 0.8665 (multiplicity 1)
Cd 0.6667 0.3333 0.1999 (multiplicity 1)
Cd 0.6667 0.3333 0.3331 (multiplicity 1)
Cd 0.6667 0.3333 0.4665 (multiplicity 1)
Cd 0.6667 0.3333 0.5998 (multiplicity 1)
Cd 0.6667 0.3333 0.7333 (multiplicity 1)
Cd 0.6667 0.3333 0.7998 (multiplicity 1)
Cd 0.6667 0.3333 0.9333 (multiplicity 1)
I 0.0000 0.0000 0.1852 (multiplicity 1)
I 0.0000 0.0000 0.3183 (multiplicity 1)
I 0.0000 0.0000 0.4517 (multiplicity 1)
I 0.0000 0.0000 0.5850 (multiplicity 1)
I 0.0000 0.0000 0.7185 (multiplicity 1)
I 0.0000 0.0000 0.7850 (multiplicity 1)
I 0.0000 0.0000 0.9185 (multiplicity 1)
I 0.3333 0.6667 0.0148 (multiplicity 1)
I 0.3333 0.6667 0.0814 (multiplicity 1)
I 0.3333 0.6667 0.1481 (multiplicity 1)
I 0.3333 0.6667 0.2147 (multiplicity 1)
I 0.3333 0.6667 0.2812 (multiplicity 1)
I 0.3333 0.6667 0.3478 (multiplicity 1)
I 0.3333 0.6667 0.4146 (multiplicity 1)
I 0.3333 0.6667 0.4813 (multiplicity 1)
I 0.3333 0.6667 0.5481 (multiplicity 1)
I 0.3333 0.6667 0.6146 (multiplicity 1)
I 0.3333 0.6667 0.6811 (multiplicity 1)
I 0.3333 0.6667 0.7481 (multiplicity 1)
I 0.3333 0.6667 0.8146 (multiplicity 1)
I 0.3333 0.6667 0.8813 (multiplicity 1)
I 0.3333 0.6667 0.9481 (multiplicity 1)
I 0.6667 0.3333 0.0519 (multiplicity 1)
I 0.6667 0.3333 0.1185 (multiplicity 1)
I 0.6667 0.3333 0.2517 (multiplicity 1)
I 0.6667 0.3333 0.3850 (multiplicity 1)
I 0.6667 0.3333 0.5185 (multiplicity 1)
I 0.6667 0.3333 0.6515 (multiplicity 1)
I 0.6667 0.3333 0.8517 (multiplicity 1)
I 0.6667 0.3333 0.9852 (multiplicity 1)

Output
* E_tot: -1.91 eV/atom

=====

No. 5
Compound: CdI2
Source: the Materials Project
Functional: PBE
Structure: relaxed

a b c (Å): 4.3379 4.3379 96.7098
angles (deg): 90.00 90.00 120.00
Space group P3m1 (No. 156)
One atom of each set of equivalent atoms:
Cd 0.0000 0.0000 0.0000 (multiplicity 1)
Cd 0.0000 0.0000 0.0821 (multiplicity 1)
Cd 0.0000 0.0000 0.2488 (multiplicity 1)
Cd 0.0000 0.0000 0.5832 (multiplicity 1)
Cd 0.0000 0.0000 0.6659 (multiplicity 1)
Cd 0.0000 0.0000 0.9165 (multiplicity 1)
Cd 0.6667 0.3333 0.1668 (multiplicity 1)
Cd 0.6667 0.3333 0.3330 (multiplicity 1)
Cd 0.6667 0.3333 0.4156 (multiplicity 1)
Cd 0.6667 0.3333 0.5006 (multiplicity 1)
Cd 0.6667 0.3333 0.7493 (multiplicity 1)
Cd 0.6667 0.3333 0.8339 (multiplicity 1)
I 0.0000 0.0000 0.1491 (multiplicity 1)
I 0.0000 0.0000 0.3153 (multiplicity 1)
I 0.0000 0.0000 0.3978 (multiplicity 1)
I 0.0000 0.0000 0.4829 (multiplicity 1)
I 0.0000 0.0000 0.7315 (multiplicity 1)
I 0.0000 0.0000 0.8161 (multiplicity 1)
I 0.3333 0.6667 0.0178 (multiplicity 1)
I 0.3333 0.6667 0.0998 (multiplicity 1)
I 0.3333 0.6667 0.1846 (multiplicity 1)
I 0.3333 0.6667 0.2666 (multiplicity 1)
I 0.3333 0.6667 0.3508 (multiplicity 1)
I 0.3333 0.6667 0.4334 (multiplicity 1)
I 0.3333 0.6667 0.5184 (multiplicity 1)
I 0.3333 0.6667 0.6009 (multiplicity 1)
I 0.3333 0.6667 0.6837 (multiplicity 1)
I 0.3333 0.6667 0.7671 (multiplicity 1)
I 0.3333 0.6667 0.8516 (multiplicity 1)
I 0.3333 0.6667 0.9343 (multiplicity 1)
I 0.6667 0.3333 0.0643 (multiplicity 1)
I 0.6667 0.3333 0.2311 (multiplicity 1)
I 0.6667 0.3333 0.5654 (multiplicity 1)
I 0.6667 0.3333 0.6481 (multiplicity 1)
I 0.6667 0.3333 0.8987 (multiplicity 1)
I 0.6667 0.3333 0.9822 (multiplicity 1)

Output
* E_tot: -1.91 eV/atom

=====

No. 6
Compound: CdI2
Source: the Materials Project
Functional: PBE
Structure: relaxed

a b c (Å): 4.3357 4.3357 53.7589
angles (deg): 90.00 90.00 120.00
Space group P3m1 (No. 156)
One atom of each set of equivalent atoms:
Cd 0.0000 0.0000 0.0000 (multiplicity 1)
Cd 0.0000 0.0000 0.1429 (multiplicity 1)
Cd 0.0000 0.0000 0.7143 (multiplicity 1)
Cd 0.3333 0.6667 0.2857 (multiplicity 1)
Cd 0.3333 0.6667 0.5714 (multiplicity 1)
Cd 0.3333 0.6667 0.8572 (multiplicity 1)
Cd 0.6667 0.3333 0.4287 (multiplicity 1)
I 0.0000 0.0000 0.2537 (multiplicity 1)
I 0.0000 0.0000 0.3966 (multiplicity 1)
I 0.0000 0.0000 0.5394 (multiplicity 1)
I 0.0000 0.0000 0.8251 (multiplicity 1)
I 0.3333 0.6667 0.1109 (multiplicity 1)
I 0.3333 0.6667 0.4607 (multiplicity 1)
I 0.3333 0.6667 0.6823 (multiplicity 1)
I 0.3333 0.6667 0.9680 (multiplicity 1)
I 0.6667 0.3333 0.0320 (multiplicity 1)
I 0.6667 0.3333 0.1749 (multiplicity 1)
I 0.6667 0.3333 0.3178 (multiplicity 1)
I 0.6667 0.3333 0.6034 (multiplicity 1)
I 0.6667 0.3333 0.7464 (multiplicity 1)
I 0.6667 0.3333 0.8892 (multiplicity 1)

Output
* E_tot: -1.91 eV/atom

=====

No. 7
Compound: CdI2
Source: the Materials Project
Functional: PBE
Structure: relaxed

a b c (Å): 4.3335 4.3335 59.3600
angles (deg): 90.00 90.00 120.00
Space group P3m1 (No. 156)
One atom of each set of equivalent atoms:
Cd 0.0000 0.0000 0.0000 (multiplicity 1)
Cd 0.0000 0.0000 0.1250 (multiplicity 1)
Cd 0.0000 0.0000 0.5000 (multiplicity 1)
Cd 0.0000 0.0000 0.7500 (multiplicity 1)
Cd 0.3333 0.6667 0.2500 (multiplicity 1)
Cd 0.6667 0.3333 0.3751 (multiplicity 1)
Cd 0.6667 0.3333 0.6251 (multiplicity 1)
Cd 0.6667 0.3333 0.8751 (multiplicity 1)
I 0.0000 0.0000 0.2209 (multiplicity 1)
I 0.0000 0.0000 0.4042 (multiplicity 1)
I 0.0000 0.0000 0.6541 (multiplicity 1)
I 0.0000 0.0000 0.9041 (multiplicity 1)
I 0.3333 0.6667 0.0960 (multiplicity 1)
I 0.3333 0.6667 0.3461 (multiplicity 1)
I 0.3333 0.6667 0.4709 (multiplicity 1)
I 0.3333 0.6667 0.5960 (multiplicity 1)
I 0.3333 0.6667 0.7209 (multiplicity 1)
I 0.3333 0.6667 0.8460 (multiplicity 1)
I 0.3333 0.6667 0.9710 (multiplicity 1)
I 0.6667 0.3333 0.0291 (multiplicity 1)
I 0.6667 0.3333 0.1541 (multiplicity 1)
I 0.6667 0.3333 0.2790 (multiplicity 1)
I 0.6667 0.3333 0.5291 (multiplicity 1)
I 0.6667 0.3333 0.7791 (multiplicity 1)

Output
* E_tot: -1.91 eV/atom

=====

No. 8
Compound: CdI2
Source: the Materials Project
Functional: PBE
Structure: relaxed

a b c (Å): 4.3314 4.3314 44.4848
angles (deg): 90.00 90.00 120.00
Space group P-3m1 (No. 164)
One atom of each set of equivalent atoms:
Cd 0.0000 0.0000 0.0000 (multiplicity 1)
Cd 0.0000 0.0000 0.1667 (multiplicity 2)
Cd 0.0000 0.0000 0.5000 (multiplicity 1)
Cd 0.3333 0.6667 0.6667 (multiplicity 2)
I 0.0000 0.0000 0.2945 (multiplicity 2)
I 0.3333 0.6667 0.0388 (multiplicity 2)
I 0.3333 0.6667 0.2055 (multiplicity 2)
I 0.3333 0.6667 0.3722 (multiplicity 2)
I 0.3333 0.6667 0.5388 (multiplicity 2)
I 0.3333 0.6667 0.8722 (multiplicity 2)

Output
* E_tot: -1.91 eV/atom